(1)
First-principles (r2SCAN) data for crystalline BaAs2F12 at its relaxed geometry, as listed in Materials Project.

```
BaAs2F12
1.0
-5.6372 6.8323 4.7953
-5.3573 1.4761 -8.4009
-6.4012 -7.2522 2.8078
Ba As F
4 8 48
Cartesian
-2.8186 3.4162 2.3977
-2.6786 0.7380 -4.2004
-3.2006 -3.6261 1.4039
0.0000 0.0000 0.0000
-4.3489 0.2641 -0.1994
-9.8462 4.4183 -2.0022
-10.3681 0.0541 3.6022
-10.2282 -2.6240 -2.9960
-13.0468 0.7922 -0.5983
-7.5495 -3.3621 1.2045
-7.0276 1.0021 -4.3999
-7.1675 3.6802 2.1982
-3.3366 -1.0933 0.3730
-11.4857 5.0649 -2.2995
-10.0883 1.0554 5.0560
-3.2070 1.2954 0.7100
-9.8808 -2.9147 -4.7250
-11.9224 -2.9859 -3.4355
-9.4441 5.1361 -3.5889
-10.2179 -1.3333 4.7190
-3.1596 0.3870 -1.5280
-10.0578 -4.3949 -2.8240
-9.4915 6.0445 -1.3509
-12.0825 0.0758 4.1075
-9.1862 -2.9279 0.9935
-12.2601 -0.6050 -0.0145
-6.7117 3.5714 0.5575
-8.8376 3.4972 1.9002
-6.6334 2.0738 -3.1320
-12.1252 1.8823 0.3365
-6.7684 -0.4134 -3.4830
-7.0602 -2.8537 -0.3491
-8.7099 1.0538 -4.1197
-7.1097 -1.9078 1.9813
-6.8961 2.0300 2.5369
-12.0757 0.9364 -1.9939
-5.9100 -4.0087 1.5018
-14.0591 2.1495 -1.1707
-7.5149 3.9709 3.9273
-5.4733 4.0421 2.6378
-7.3074 0.0008 -5.8538
-14.1887 -0.2392 -1.5078
-7.1779 2.3895 -5.5167
-7.9516 -4.0799 2.7912
-5.3132 0.9804 -4.9052
-7.9042 -4.9883 0.5532
-7.3379 5.4511 2.0263
-14.2361 0.6692 0.7303
-5.1356 1.6612 -0.7832
-8.2095 3.9841 -1.7913
-10.7623 -1.0176 2.3343
-5.2705 -0.8261 -1.1342
-10.6840 -2.5152 -1.3552
-8.5581 -2.4410 -2.6979
-10.3355 3.9099 -0.4486
-10.6273 1.4696 2.6852
-5.3200 0.1198 1.1962
-10.4996 -0.9738 -3.3347
-10.2860 2.9640 -2.7790
-8.6858 0.0024 3.3220
```

Results
Total energy in eV per atom: -8.85
Formation energy from the elements in meV/atom: -2626

(2)
First-principles (r2SCAN) data for crystalline BaFe2As2 at its relaxed geometry, as listed in Materials Project.

```
BaFe2As2
1.0
0.6517 0.7460 -3.8099
-0.2867 -3.8434 -0.8016
-6.4025 2.2077 1.3708
Ba Fe As
1 2 2
Cartesian
0.0000 0.0000 0.0000
-3.2534 -1.5922 -0.8682
-2.7842 0.7025 -2.3724
-4.2730 0.4527 -0.6423
-1.7645 -1.3425 -2.5984
```

Results
Total energy in eV per atom: -17.35
Formation energy from the elements in meV/atom: -401

(3)
First-principles (r2SCAN) data for crystalline BaFe2As2 at its relaxed geometry, as listed in Materials Project.

```
BaFe2As2
1.0
0.0000 0.0000 5.6036
6.5967 2.9320 0.0000
0.0024 5.8587 0.0000
Ba Fe As
2 4 4
Cartesian
0.0024 5.8587 0.0000
6.5978 5.8614 2.8019
3.2983 1.4660 1.4011
3.3007 7.3247 4.2025
3.2995 4.3953 4.2029
3.2995 4.3954 1.4008
4.6683 2.9314 2.8017
4.6694 5.8605 5.6035
1.9296 2.9302 5.6035
1.9307 5.8593 2.8017
```

Results
Total energy in eV per atom: -17.60
Formation energy from the elements in meV/atom: -652

(4)
First-principles (r2SCAN) data for crystalline Ba7Ga4As9 at its relaxed geometry, as listed in Materials Project.

```
Ba7Ga4As9
1.0
6.8654 0.0000 0.0000
0.0000 10.2454 0.0000
0.0000 0.0000 17.1893
Ba Ga As
14 8 18
Cartesian
3.0973 5.1227 13.4724
3.0973 5.1227 3.7169
3.7682 0.0000 12.3116
3.7682 0.0000 4.8777
6.4920 2.8412 15.0451
6.4920 7.4042 15.0451
6.4920 2.8412 2.1443
6.4920 7.4042 2.1443
0.3735 2.2815 10.7389
0.3735 7.9639 10.7389
0.3735 2.2815 6.4504
0.3735 7.9639 6.4504
2.7829 5.1227 8.5947
4.0825 0.0000 0.0000
5.2560 5.1227 6.4710
5.2560 5.1227 10.7184
1.6094 0.0000 2.1237
1.6094 0.0000 15.0656
3.9115 8.4369 8.5947
3.9115 1.8085 8.5947
2.9540 6.9312 0.0000
2.9540 3.3142 0.0000
3.8471 2.9841 6.3956
3.8471 7.2613 6.3956
3.8471 2.9841 10.7937
3.8471 7.2613 10.7937
3.0184 2.1386 2.1990
3.0184 8.1068 2.1990
3.0184 2.1386 14.9903
3.0184 8.1068 14.9903
6.7121 5.1227 4.5196
6.7121 5.1227 12.6697
0.1534 0.0000 4.0751
0.1534 0.0000 13.1143
4.7552 5.1227 0.0000
2.1102 0.0000 8.5947
1.1503 5.1227 0.0000
5.7152 0.0000 8.5947
6.5377 5.1227 8.5947
0.3277 0.0000 0.0000
```

Results
Total energy in eV per atom: -19.24
Formation energy from the elements in meV/atom: -1058

(5)
First-principles (r2SCAN) data for crystalline Ba2In5As5 at its relaxed geometry, as listed in Materials Project.

```
Ba2In5As5
1.0
4.3269 0.0000 0.0000
0.0000 17.7809 0.0000
0.0000 0.0000 18.1408
Ba In As
8 20 20
Cartesian
3.2452 17.4189 11.2679
1.0817 0.3620 6.8729
3.2452 8.5284 15.9434
1.0817 0.7577 15.7754
3.2452 17.0232 2.3654
1.0817 9.2525 2.1975
3.2452 8.1327 6.7050
1.0817 9.6482 11.4358
3.2452 3.7509 6.7687
1.0817 11.9753 17.0873
3.2452 5.8056 1.0535
3.2452 14.6961 8.0169
3.2452 6.0752 12.4996
1.0817 5.8426 9.5805
3.2452 14.9656 14.7117
1.0817 14.7331 17.6308
1.0817 11.7057 5.6413
3.2452 12.6414 2.3017
1.0817 3.0848 10.1239
1.0817 5.1395 15.8391
1.0817 2.8153 3.4292
3.2452 11.9383 8.5604
3.2452 3.3547 13.0856
3.2452 12.2451 14.1256
1.0817 14.0300 11.3721
1.0817 14.4262 5.0552
3.2452 3.0478 0.5100
1.0817 5.5358 4.0152
1.0817 10.3807 8.0141
1.0817 1.8687 12.5197
3.2452 12.3815 11.3494
3.2452 15.9123 5.6211
3.2452 16.2907 17.0845
3.2452 1.9133 4.7850
1.0817 15.7276 9.2846
1.0817 6.9772 13.8554
3.2452 10.9438 0.2142
3.2452 7.4002 10.1267
1.0817 14.2899 2.2790
1.0817 10.7591 14.6915
1.0817 5.3994 6.7914
3.2452 2.0533 8.8563
1.0817 6.8372 17.9267
1.0817 1.4902 1.0563
1.0817 15.8676 13.3558
3.2452 10.8038 4.2854
3.2452 7.0218 3.4493
3.2452 3.4911 15.8618
```

Results
Total energy in eV per atom: -20.66
Formation energy from the elements in meV/atom: -712

(6)
First-principles (r2SCAN) data for crystalline BaNi9As5 at its relaxed geometry, as listed in Materials Project.

```
BaNi9As5
1.0
3.3497 -5.8014 0.0000
3.3497 5.8014 0.0000
0.0000 0.0000 11.2247
Ba Ni As
2 18 10
Cartesian
0.0000 0.0000 11.2246
0.0000 0.0000 5.6125
3.3497 -0.4142 1.1971
2.0333 2.6937 6.8107
4.6661 2.6937 6.8107
2.0335 -2.6936 1.1971
4.6658 -2.6936 1.1971
2.0335 2.6936 10.0287
4.6658 2.6936 10.0287
3.3497 0.4139 6.8107
3.3497 0.4142 10.0287
3.3497 -0.4140 4.4130
4.6660 -2.6937 4.4130
2.0333 -2.6937 4.4130
3.3497 3.3754 2.8044
2.1011 -1.2130 8.4203
4.5982 -1.2130 8.4203
2.1012 1.2130 2.8044
4.5982 1.2130 2.8044
3.3497 -3.3754 8.4203
3.3497 -3.7963 2.8061
4.9628 1.0026 8.4186
1.7366 1.0026 8.4186
4.9628 -1.0025 2.8061
1.7366 -1.0026 2.8061
3.3497 3.7963 8.4186
3.3497 1.9338 0.6785
3.3497 -1.9338 6.2909
3.3497 -1.9338 10.5462
3.3497 1.9338 4.9339
```

Results
Total energy in eV per atom: -14.33
Formation energy from the elements in meV/atom: -472

(7)
First-principles (r2SCAN) data for crystalline Ba3As2O8 at its relaxed geometry, as listed in Materials Project.

```
Ba3As2O8
1.0
4.0032 0.6739 6.7612
2.2761 -4.7894 5.8373
6.8235 -2.6529 2.9319
Ba As O
3 2 8
Cartesian
10.4039 -5.3743 12.3315
2.6988 -1.3941 3.1988
0.0000 0.0000 0.0000
7.7661 -4.0117 9.2050
5.3366 -2.7567 6.3253
8.8023 -4.5470 10.4331
4.3004 -2.2214 5.0972
6.2357 -3.6391 9.8623
8.4154 -2.6150 8.4697
7.5876 -5.2337 8.0268
4.6873 -4.1535 7.0606
6.8670 -3.1293 5.6679
5.5152 -1.5347 7.5034
```

Results
Total energy in eV per atom: -14.54
Formation energy from the elements in meV/atom: -2491

(8)
First-principles (r2SCAN) data for crystalline BaAs2O6 at its relaxed geometry, as listed in Materials Project.

```
BaAs2O6
1.0
-3.1184 0.0002 3.9087
-4.2652 0.0009 -3.9121
3.6932 -8.9261 0.0023
Ba As O
2 4 12
Cartesian
-0.7794 -2.5538 0.9777
-2.9110 -6.3712 -0.9788
-4.4720 -0.6163 0.9754
0.7817 -8.3087 -0.9764
-4.4709 -3.3628 0.9764
0.7805 -5.5622 -0.9774
-3.1104 -0.5410 -2.3748
-2.7142 -0.5414 0.4171
-0.5800 -8.3840 2.3738
-0.9762 -8.3836 -0.4181
-4.9227 -2.0634 -0.1491
-4.0199 -2.0631 2.1014
1.2323 -6.8616 0.1481
0.3294 -6.8619 -2.1024
-2.7523 -4.1548 -2.5340
-3.0712 -4.1546 0.5781
-0.9381 -4.7701 2.5330
-0.6192 -4.7704 -0.5791
```

Results
Total energy in eV per atom: -12.09
Formation energy from the elements in meV/atom: -1900

(9)
First-principles (r2SCAN) data for crystalline Ba3TaAs3O at its relaxed geometry, as listed in Materials Project.

```
Ba3TaAs3O
1.0
-0.1192 -1.3214 6.6771
-0.8072 -10.9555 -2.1825
13.5862 -1.0096 0.0428
Ba Ta As O
12 4 12 4
Cartesian
1.7162 -0.9498 1.5333
1.0513 -9.3063 3.2201
8.2424 -4.3952 4.6453
11.6085 -3.9802 1.3172
10.9435 -12.3366 3.0041
8.1042 -6.9493 0.5492
1.3857 -5.4364 0.6394
4.8861 -1.8505 4.8820
7.7736 -11.4359 -0.3446
4.5556 -6.3371 3.9882
11.2741 -7.8500 3.8979
4.4174 -8.8913 -0.1080
6.7258 -9.6421 2.8071
12.3445 -9.3945 -0.5139
5.9340 -3.6444 1.7303
0.3153 -3.8920 5.0513
8.3608 -3.7373 1.2993
11.4904 -4.6350 4.6479
4.2990 -9.5491 3.2381
1.1694 -8.6514 -0.1105
1.1474 -5.9478 3.9565
5.1260 -1.3209 1.4728
11.2004 -11.5729 -0.2626
7.8457 -7.7313 3.9081
11.5124 -7.3386 0.5809
4.8141 -5.5552 0.6293
1.4594 -1.7136 4.8000
7.5337 -11.9656 3.0645
0.5043 -2.9402 0.2036
5.7989 -3.9987 3.5590
12.1554 -10.3463 4.3338
6.8609 -9.2877 0.9783
```

Results
Total energy in eV per atom: -23.93
Formation energy from the elements in meV/atom: -1659

(10)
First-principles (r2SCAN) data for crystalline BaVAsO6 at its relaxed geometry, as listed in Materials Project.

```
BaVAsO6
1.0
10.2437 0.0000 0.0000
0.0000 5.7607 0.0230
0.0000 0.0940 8.9404
Ba V As O
4 4 4 24
Cartesian
7.1249 2.1099 5.2678
2.0030 3.7918 8.1659
3.1189 3.7447 3.6957
8.2407 2.0629 0.7976
0.9375 0.9236 5.2384
6.0594 4.9781 8.1953
9.3062 4.9311 3.7251
4.1843 0.8766 0.7682
1.1781 0.9024 1.9637
6.3000 4.9053 2.5295
9.0656 4.9523 6.9998
3.9438 0.9494 6.4339
0.7985 2.2802 1.1089
5.9204 3.5275 3.3843
9.4452 3.5745 7.8545
4.3234 2.3272 5.5791
2.7879 5.6742 5.7500
7.9098 0.2275 7.6836
7.4558 0.1805 3.2134
2.3340 5.6272 1.2798
0.3321 5.7734 6.8705
5.4540 0.1283 6.5631
9.9116 0.0813 2.0929
4.7897 5.7264 2.4003
3.6875 2.2951 1.4288
8.8093 3.5126 3.0644
6.5563 3.5596 7.5346
1.4344 2.3421 5.8990
5.7601 1.0927 0.1899
0.6382 4.7149 4.3034
4.4837 4.7619 8.7736
9.6056 1.1397 4.6601
3.3100 1.3053 7.9946
8.4318 4.5964 5.4391
6.9338 4.5494 0.9689
1.8119 1.2583 3.5244
```

Results
Total energy in eV per atom: -12.49
Formation energy from the elements in meV/atom: -2361

(11)
First-principles (r2SCAN) data for crystalline BaAs2Ru2 at its relaxed geometry, as listed in Materials Project.

```
BaAs2Ru2
1.0
3.9712 0.0000 -1.2762
-0.4101 3.9500 -1.2762
0.0193 0.0214 6.8770
Ba As Ru
1 2 2
Cartesian
0.0000 0.0000 0.0000
2.3254 2.5794 0.4194
1.2550 1.3920 3.9053
0.6949 2.9732 2.1623
2.8855 0.9982 2.1623
```

Results
Total energy in eV per atom: -22.14
Formation energy from the elements in meV/atom: -785

Question: Which of these has the lowest total energy?
Answer: Ba3TaAs3O